Entry 1:
A relaxed structure of H2Os4PtC15O15. Source: Materials Project, functional GGA-PBE.

Calculated values
Uncorrected energy (eV per atom): -7.9128
ΔH_f (0 K) (eV/atom): -0.883
Crystal system: monoclinic

a b c (Å): 13.466 8.976 20.514
angles (deg): 90.00 90.87 90.00
Space group P2_1/c (No. 14)
Asymmetric unit:
H1 0.150 0.164 0.313 x4
H2 0.331 0.237 0.301 x4
Os1 0.157 0.501 0.867 x4
Os2 0.220 0.236 0.458 x4
Os3 0.239 0.156 0.247 x4
Os4 0.365 0.100 0.366 x4
Pt1 0.299 0.628 0.781 x4
C1 0.032 0.060 0.400 x4
C2 0.095 0.641 0.809 x4
C3 0.104 0.233 0.008 x4
C4 0.149 0.064 0.186 x4
C5 0.172 0.127 0.891 x4
C6 0.177 0.646 0.934 x4
C7 0.193 0.146 0.728 x4
C8 0.271 0.090 0.521 x4
C9 0.296 0.106 0.998 x4
C10 0.302 0.694 0.693 x4
C11 0.337 0.697 0.329 x4
C12 0.342 0.172 0.184 x4
C13 0.412 0.539 0.929 x4
C14 0.440 0.236 0.901 x4
C15 0.467 0.039 0.308 x4
O1 0.034 0.212 0.040 x4
O2 0.046 0.723 0.778 x4
O3 0.047 0.591 0.082 x4
O4 0.098 0.003 0.149 x4
O5 0.140 0.037 0.857 x4
O6 0.165 0.029 0.711 x4
O7 0.193 0.737 0.974 x4
O8 0.300 0.011 0.561 x4
O9 0.301 0.737 0.640 x4
O10 0.338 0.007 0.022 x4
O11 0.359 0.591 0.358 x4
O12 0.406 0.188 0.148 x4
O13 0.443 0.631 0.964 x4
O14 0.463 0.514 0.223 x4
O15 0.491 0.138 0.917 x4

---

Entry 2:
A relaxed structure of Ba6LiNb2IrCl2O12. Source: Materials Project, functional GGA-PBE.

Calculated values
Uncorrected energy (eV per atom): -6.8274
ΔH_f (0 K) (eV/atom): -2.774
Polymorph energy (0 for the lowest one) (meV per atom): 21
Crystal system: monoclinic

a b c (Å): 10.881 5.846 15.254
angles (deg): 90.00 92.97 90.00
Space group Cm (No. 8)
Asymmetric unit:
Ba1 0.000 0.000 0.000 x2
Ba2 0.003 0.000 0.581 x2
Ba3 0.031 0.000 0.252 x2
Ba4 0.124 0.500 0.429 x2
Ba5 0.149 0.500 0.850 x2
Ba6 0.189 0.500 0.132 x2
Li1 0.364 0.500 0.383 x2
Nb1 0.317 0.000 0.397 x2
Nb2 0.332 0.000 0.027 x2
Ir1 0.332 0.000 0.215 x2
Cl1 0.156 0.500 0.637 x2
Cl2 0.499 0.500 0.792 x2
O1 0.163 0.000 0.453 x2
O2 0.179 0.000 0.123 x2
O3 0.248 0.249 0.970 x4
O4 0.261 0.246 0.302 x4
O5 0.405 0.234 0.129 x4
O6 0.405 0.246 0.461 x4
O7 0.481 0.000 0.302 x2
O8 0.485 0.000 0.970 x2

---

Entry 3:
A relaxed structure of MgAl2H4Pb2O4F6. Source: Materials Project, functional GGA-PBE.

Calculated values
Uncorrected energy (eV per atom): -5.3357
ΔH_f (0 K) (eV/atom): -2.396
Polymorph energy (0 for the lowest one) (meV per atom): 17
Crystal system: triclinic

a b c (Å): 5.148 7.199 7.600
angles (deg): 70.20 70.49 89.77
Space group P1 (No. 1)
Asymmetric unit:
Mg1 0.000 0.000 0.000 x1
Al1 0.383 0.425 0.631 x1
Al2 0.423 0.776 0.260 x1
H1 0.021 0.247 0.573 x1
H2 0.021 0.679 0.595 x1
H3 0.722 0.958 0.366 x1
H4 0.826 0.575 0.307 x1
Pb1 0.450 0.321 0.187 x1
Pb2 0.472 0.906 0.708 x1
O1 0.219 0.667 0.540 x1
O2 0.225 0.259 0.530 x1
O3 0.622 0.556 0.348 x1
O4 0.665 0.981 0.247 x1
F1 0.096 0.294 0.875 x1
F2 0.197 0.620 0.208 x1
F3 0.216 0.978 0.184 x1
F4 0.526 0.542 0.765 x1
F5 0.634 0.249 0.669 x1
F6 0.676 0.836 0.994 x1

---

Entry 4:
A relaxed structure of CsRe6Se8I3. Source: Materials Project, functional GGA-PBE.

Calculated values
Uncorrected energy (eV per atom): -6.5443
ΔH_f (0 K) (eV/atom): -0.602
Crystal system: monoclinic

a b c (Å): 6.675 20.042 16.660
angles (deg): 90.00 106.58 90.00
Space group P2_1/c (No. 14)
Asymmetric unit:
Cs1 0.034 0.019 0.252 x4
Re1 0.176 0.738 0.458 x4
Re2 0.246 0.242 0.461 x4
Re3 0.427 0.668 0.044 x4
Re4 0.462 0.705 0.599 x4
Re5 0.468 0.709 0.898 x4
Re6 0.496 0.164 0.047 x4
Se1 0.152 0.642 0.907 x4
Se2 0.160 0.721 0.108 x4
Se3 0.218 0.618 0.510 x4
Se4 0.222 0.138 0.909 x4
Se5 0.227 0.699 0.320 x4
Se6 0.230 0.218 0.110 x4
Se7 0.287 0.122 0.513 x4
Se8 0.297 0.203 0.323 x4
I1 0.371 0.544 0.111 x4
I2 0.440 0.041 0.115 x4
I3 0.470 0.635 0.750 x4

---

Entry 5:
A relaxed structure of TbAl7Au3. Source: Materials Project, functional GGA-PBE.

Calculated values
Uncorrected energy (eV per atom): -4.2125
ΔH_f (0 K) (eV/atom): -0.515
Crystal system: trigonal

a b c (Å): 8.1087 8.1087 21.1563
angles (deg): 90.00 90.00 120.00
Space group R-3c (No. 167, hexagonal axes)
Asymmetric unit:
Tb1 0.0000 0.0000 0.0000 x6
Al1 0.0000 0.0000 0.2500 x6
Al2 0.0105 0.2064 0.1367 x36
Au1 0.0000 0.3234 0.2500 x18

---

Entry 6:
A relaxed structure of Rb2Ca2Si3O9. Source: Materials Project, functional GGA-PBE.

Calculated values
Uncorrected energy (eV per atom): -6.9547
ΔH_f (0 K) (eV/atom): -3.167
Crystal system: monoclinic

a b c (Å): 6.670 7.485 12.244
angles (deg): 90.00 119.13 90.00
Space group Pc (No. 7)
Asymmetric unit:
Rb1 0.000 0.091 0.000 x2
Rb2 0.385 0.159 0.371 x2
Ca1 0.434 0.334 0.687 x2
Ca2 0.902 0.435 0.418 x2
Si1 0.434 0.362 0.956 x2
Si2 0.675 0.084 0.180 x2
Si3 0.989 0.245 0.724 x2
O1 0.037 0.326 0.616 x2
O2 0.247 0.214 0.852 x2
O3 0.301 0.493 0.007 x2
O4 0.451 0.041 0.639 x2
O5 0.551 0.465 0.884 x2
O6 0.629 0.232 0.067 x2
O7 0.772 0.180 0.315 x2
O8 0.826 0.354 0.764 x2
O9 0.892 0.036 0.683 x2

---

Entry 7:
A relaxed structure of Y2InCu2. Source: Materials Project, functional GGA-PBE.

Calculated values
Uncorrected energy (eV per atom): -5.1704
ΔH_f (0 K) (eV/atom): -0.394
Crystal system: tetragonal

a b c (Å): 7.680 7.680 3.673
angles (deg): 90.00 90.00 90.00
Space group P4/mbm (No. 127)
Asymmetric unit:
Y1 0.172 0.328 0.000 x4
In1 0.000 0.000 0.500 x2
Cu1 0.121 0.621 0.500 x4

---

Entry 8:
A relaxed structure of Hf10VSb5. Source: Materials Project, functional GGA-PBE.

Calculated values
Uncorrected energy (eV per atom): -8.5105
ΔH_f (0 K) (eV/atom): -0.489
Crystal system: tetragonal

a b c (Å): 11.066 11.066 5.583
angles (deg): 90.00 90.00 90.00
Space group I422 (No. 97)
Asymmetric unit:
Hf1 0.000 0.500 0.000 x4
Hf2 0.076 0.216 0.236 x16
V1 0.000 0.000 0.000 x2
Sb1 0.000 0.000 0.500 x2
Sb2 0.164 0.336 0.750 x8

---

Entry 9:
A relaxed structure of MoS2. Source: Materials Project, functional GGA-PBE.

Calculated values
Largest piezoelectric modulus (C/m²): 0.74
Uncorrected energy (eV per atom): -7.2389
ΔH_f (0 K) (eV/atom): -1.201
Crystal system: trigonal

a b c (Å): 3.1906 3.1906 21.3182
angles (deg): 90.00 90.00 120.00
Space group R3m (No. 160, hexagonal axes)
Asymmetric unit:
Mo1 0.0000 0.0000 0.0000 x3
S1 0.0000 0.0000 0.2599 x3
S2 0.0000 0.0000 0.4068 x3

---

Entry 10:
A relaxed structure of Rb2Be2O3. Source: Materials Project, functional GGA-PBE.

Calculated values
Uncorrected energy (eV per atom): -5.5524
ΔH_f (0 K) (eV/atom): -2.378
Polymorph energy (0 for the lowest one) (meV per atom): 0
Crystal system: orthorhombic

a b c (Å): 10.965 5.404 7.785
angles (deg): 90.00 90.00 90.00
Space group Pnma (No. 62)
Asymmetric unit:
Rb1 0.080 0.250 0.130 x4
Rb2 0.116 0.750 0.493 x4
Be1 0.168 0.250 0.725 x4
Be2 0.213 0.750 0.895 x4
O1 0.161 0.501 0.825 x8
O2 0.179 0.250 0.524 x4